A plane-wave DFT calculation with r²SCAN was carried out for CdGa2Te4 after structural relaxation.

```
CdGa2Te4
1.0
6.2185 0.0000 0.0000
0.0000 6.2185 0.0000
0.0000 0.0000 11.9106
Cd Ga Te
2 4 8
Direct
0.0000 0.0000 0.0000
0.5000 0.5000 0.5000
0.0000 0.0000 0.5000
0.0000 0.5000 0.7500
0.5000 0.0000 0.2500
0.5000 0.5000 0.0000
0.2267 0.7552 0.3628
0.2448 0.2267 0.6372
0.2552 0.2733 0.1372
0.2733 0.7448 0.8628
0.7267 0.2552 0.8628
0.7448 0.7267 0.1372
0.7552 0.7733 0.6372
0.7733 0.2448 0.3628
```

The value obtained for the total magnetic moment is 0.00 μB per cell. The calculation puts the formation enthalpy at 0 K at -0.469 eV/atom. The value obtained for the energy is -21.135 eV/atom. The space-group type is I-4.